No. 1
The following is a PBE calculation of Zn3As2O10 after structural relaxation, from Materials Project.

Cell: 6.5943 9.2502 14.7167 Å, 101.77 99.93 108.98°
With the nearest neighbours (Å) after each atom.
Sites, in units of the cell vectors:
Zn 0.1253 0.4075 0.1523  4 O 1.93-2.15
Zn 0.1651 0.2731 0.9343  4 O 1.97-2.13
Zn 0.1998 0.5194 0.5761  5 O 2.01-2.09
Zn 0.2937 0.9541 0.9080  4 O 2.01-2.17
Zn 0.3371 0.8281 0.2655  5 O 1.96-2.15
Zn 0.3720 0.1585 0.3983  5 O 2.01-2.14
Zn 0.6280 0.8415 0.6017  5 O 2.01-2.14
Zn 0.6629 0.1719 0.7345  5 O 1.96-2.15
Zn 0.7063 0.0459 0.0920  4 O 2.01-2.17
Zn 0.8002 0.4806 0.4239  5 O 2.01-2.09
Zn 0.8349 0.7269 0.0657  4 O 1.97-2.13
Zn 0.8747 0.5925 0.8477  4 O 1.93-2.15
As 0.1848 0.8797 0.6727  4 O 1.71-1.75
As 0.2364 0.0766 0.1381  4 O 1.69-1.74
As 0.2881 0.6711 0.0376  4 O 1.71-1.75
As 0.3514 0.5653 0.3844  4 O 1.72-1.74
As 0.6486 0.4347 0.6156  4 O 1.72-1.74
As 0.7119 0.3289 0.9624  4 O 1.71-1.75
As 0.7636 0.9234 0.8619  4 O 1.69-1.74
As 0.8152 0.1203 0.3273  4 O 1.71-1.75
O 0.0423 0.0402 0.9147  1 As 1.74
O 0.0699 0.1572 0.4044  1 As 1.74
O 0.1187 0.2770 0.5531  1 Zn 2.07, 1 O 2.16
O 0.1218 0.5022 0.4295  1 As 1.73
O 0.1385 0.8162 0.7720  1 As 1.72
O 0.1507 0.7207 0.1239  1 As 1.75
O 0.1850 0.6959 0.9287  1 As 1.72
O 0.1891 0.3436 0.7668  1 O 1.24
O 0.2381 0.4802 0.7580  1 O 1.24
O 0.2434 0.4740 0.0339  1 As 1.74
O 0.2643 0.5858 0.2707  1 As 1.74
O 0.2722 0.9137 0.3879  2 Zn 1.99-2.11
O 0.2927 0.2703 0.1424  1 As 1.69
O 0.3003 0.7635 0.6065  1 As 1.75
O 0.3076 0.0461 0.2485  1 As 1.72
O 0.3376 0.0787 0.7023  1 As 1.71
O 0.3800 0.0069 0.0633  1 As 1.73
O 0.4330 0.2247 0.9184  1 As 1.71
O 0.4602 0.2509 0.5469  1 As 1.72
O 0.4710 0.4247 0.3811  1 As 1.72
O 0.5290 0.5753 0.6189  1 As 1.72
O 0.5398 0.7491 0.4531  1 As 1.72
O 0.5670 0.7753 0.0816  1 As 1.71
O 0.6200 0.9931 0.9367  1 As 1.73
O 0.6624 0.9213 0.2977  1 As 1.71
O 0.6924 0.9539 0.7515  1 As 1.72
O 0.6997 0.2365 0.3935  1 As 1.75
O 0.7073 0.7297 0.8576  1 As 1.69
O 0.7278 0.0863 0.6121  2 Zn 1.99-2.11
O 0.7357 0.4142 0.7293  1 As 1.74
O 0.7566 0.5260 0.9661  1 As 1.74
O 0.7619 0.5198 0.2420  1 O 1.24
O 0.8109 0.6564 0.2332  1 O 1.24
O 0.8150 0.3041 0.0713  1 As 1.72
O 0.8493 0.2793 0.8761  1 As 1.75
O 0.8615 0.1838 0.2280  1 As 1.72
O 0.8782 0.4978 0.5705  1 As 1.73
O 0.8813 0.7230 0.4469  1 Zn 2.07, 1 O 2.16
O 0.9301 0.8428 0.5956  1 As 1.74
O 0.9577 0.9598 0.0853  1 As 1.74

final energy	-5.1448	eV per atom
magnetization	12.00	μB/cell
SG	P-1
formation energy	-1080	meV per atom

No. 2
The following is a PBE calculation of Zn9As6O28 after structural relaxation, from Materials Project.

Cell: 6.6327 9.3743 10.3737 Å, 71.45 78.43 75.98°
With the nearest neighbours (Å) after each atom.
Sites, in units of the cell vectors:
Zn 0.0000 0.0000 0.0000  2 O 1.93
Zn 0.0431 0.7539 0.8337  6 O 2.05-2.20
Zn 0.2074 0.3796 0.4717  6 O 2.07-2.20
Zn 0.4385 0.1584 0.7791  4 O 1.91-2.05
Zn 0.4700 0.5038 0.7997  5 O 2.00-2.15
Zn 0.5300 0.4962 0.2003  5 O 2.00-2.15
Zn 0.5615 0.8416 0.2209  4 O 1.91-2.05
Zn 0.7926 0.6204 0.5283  6 O 2.07-2.20
Zn 0.9569 0.2461 0.1663  6 O 2.05-2.20
As 0.0203 0.3912 0.8066  4 O 1.71-1.75
As 0.2572 0.7218 0.5161  4 O 1.69-1.75
As 0.4961 0.7951 0.9235  4 O 1.70-1.75
As 0.5039 0.2049 0.0765  4 O 1.70-1.75
As 0.7428 0.2782 0.4839  4 O 1.69-1.75
As 0.9797 0.6088 0.1934  4 O 1.71-1.75
O 0.0048 0.0142 0.1810  2 Zn 1.93-2.08
O 0.0067 0.7558 0.0440  1 As 1.73
O 0.0901 0.8277 0.6186  1 As 1.74
O 0.1161 0.5933 0.5059  1 As 1.73
O 0.1355 0.5238 0.8356  1 As 1.73
O 0.1954 0.3019 0.6924  1 As 1.75
O 0.2118 0.5119 0.2539  1 As 1.71
O 0.2212 0.1749 0.4317  1 Zn 2.07, 1 O 2.24
O 0.2717 0.1866 0.1793  1 As 1.70
O 0.3278 0.8429 0.3620  1 As 1.69
O 0.3368 0.9764 0.9072  1 As 1.75
O 0.3714 0.6843 0.8748  1 As 1.71
O 0.4782 0.6135 0.5928  1 As 1.75
O 0.4868 0.2782 0.9015  1 As 1.74
O 0.5132 0.7218 0.0985  1 As 1.74
O 0.5218 0.3865 0.4072  1 As 1.75
O 0.6286 0.3157 0.1252  1 As 1.71
O 0.6632 0.0236 0.0928  1 As 1.75
O 0.6722 0.1571 0.6380  1 As 1.69
O 0.7283 0.8134 0.8207  1 As 1.70
O 0.7788 0.8251 0.5683  1 Zn 2.07, 1 O 2.24
O 0.7882 0.4881 0.7461  1 As 1.71
O 0.8046 0.6981 0.3076  1 As 1.75
O 0.8645 0.4762 0.1644  1 As 1.73
O 0.8839 0.4067 0.4941  1 As 1.73
O 0.9099 0.1723 0.3814  1 As 1.74
O 0.9933 0.2442 0.9560  1 As 1.73
O 0.9952 0.9858 0.8190  2 Zn 1.93-2.08

final energy	-5.1232	eV per atom
magnetization	8.00	μB/cell
SG	P-1
formation energy	-1435	meV per atom

No. 3
The following is a PBE calculation of ZrAs2O10 after structural relaxation, from Materials Project.

Cell: 5.5859 6.9564 12.4658 Å, 90.00 102.15 90.00°
With the nearest neighbours (Å) after each atom.
Sites, in units of the cell vectors:
Zr 0.1794 0.0000 0.3626  6 O 2.04-2.24
Zr 0.8206 0.5000 0.6374  6 O 2.04-2.24
As 0.2369 0.4952 0.4385  4 O 1.70-1.71
As 0.4123 0.3925 0.8248  4 O 1.69-1.74
As 0.5877 0.8925 0.1752  4 O 1.69-1.74
As 0.7631 0.9952 0.5615  4 O 1.70-1.71
O 0.0107 0.1721 0.8413  3 O 2.17-2.31
O 0.0641 0.4958 0.5359  1 As 1.70
O 0.0719 0.8151 0.0164  2 O 2.17
O 0.1125 0.4756 0.7904  1 As 1.74
O 0.1726 0.2981 0.3568  1 As 1.70
O 0.1843 0.6960 0.3587  1 As 1.70
O 0.4116 0.1424 0.8284  1 As 1.74
O 0.4191 0.0080 0.2527  1 As 1.69
O 0.4529 0.9001 0.0362  1 As 1.74
O 0.4626 0.9917 0.4961  1 As 1.71
O 0.5374 0.4917 0.5039  1 As 1.71
O 0.5471 0.4001 0.9638  1 As 1.74
O 0.5809 0.5080 0.7473  1 As 1.69
O 0.5884 0.6424 0.1716  1 As 1.74
O 0.8157 0.1960 0.6413  1 As 1.70
O 0.8274 0.7981 0.6432  1 As 1.70
O 0.8875 0.9756 0.2096  1 As 1.74
O 0.9281 0.3151 0.9836  2 O 2.17
O 0.9359 0.9958 0.4641  1 As 1.70
O 0.9893 0.6721 0.1587  3 O 2.17-2.31

final energy	-6.0152	eV per atom
magnetization	8.00	μB/cell
SG	P2_1
formation energy	-1363	meV per atom

No. 4
The following is a PBE calculation of ZrAs2O10 after structural relaxation, from Materials Project.

Cell: 5.6524 6.9703 13.1123 Å, 90.00 102.38 90.00°
With the nearest neighbours (Å) after each atom.
Sites, in units of the cell vectors:
Zr 0.2048 0.0000 0.3705  6 O 2.04-2.20
Zr 0.7952 0.5000 0.6295  6 O 2.04-2.20
As 0.1944 0.4976 0.4449  4 O 1.70-1.71
As 0.4050 0.3910 0.8029  2 O 1.70
As 0.5950 0.8910 0.1971  2 O 1.70
As 0.8056 0.9976 0.5551  4 O 1.70-1.71
O 0.0558 0.9992 0.5015  1 As 1.71
O 0.1446 0.4870 0.7329  1 As 1.70
O 0.1586 0.3551 0.9792  1 O 1.27
O 0.1888 0.2997 0.3675  1 As 1.71
O 0.1945 0.6972 0.3702  1 As 1.70
O 0.2504 0.5692 0.1723  1 O 1.25
O 0.3468 0.9963 0.2272  1 As 1.70
O 0.3599 0.4205 0.9672  1 O 1.27
O 0.4482 0.4940 0.5433  1 As 1.71
O 0.4763 0.5777 0.1900  1 O 1.25
O 0.5237 0.0777 0.8100  1 O 1.25
O 0.5518 0.9940 0.4567  1 As 1.71
O 0.6401 0.9205 0.0328  1 O 1.27
O 0.6532 0.4963 0.7728  1 As 1.70
O 0.7496 0.0692 0.8277  1 O 1.25
O 0.8055 0.1972 0.6298  1 As 1.70
O 0.8112 0.7997 0.6325  1 As 1.71
O 0.8414 0.8551 0.0208  1 O 1.27
O 0.8554 0.9870 0.2671  1 As 1.70
O 0.9442 0.4992 0.4985  1 As 1.71

final energy	-6.3980	eV per atom
magnetization	4.00	μB/cell
SG	P2_1
formation energy	-1341	meV per atom

No. 5
The following is a PBE calculation of As2Os after structural relaxation, from Materials Project.

Cell: 5.4779 6.2598 3.0531 Å, 90.00 90.00 90.00°
With the nearest neighbours (Å) after each atom.
Sites, in units of the cell vectors:
As 0.1710 0.1349 0.0000  3 Os 2.47-2.51, 1 As 2.52
As 0.3290 0.6349 0.5000  3 Os 2.47-2.51, 1 As 2.52
As 0.6710 0.3651 0.5000  3 Os 2.47-2.51, 1 As 2.52
As 0.8290 0.8651 0.0000  3 Os 2.47-2.51, 1 As 2.52
Os 0.0000 0.5000 0.0000  6 As 2.47-2.51
Os 0.5000 0.0000 0.5000  6 As 2.47-2.51

final energy	-7.0674	eV per atom
SG	Pnnm
formation energy	-219	meV per atom

No. 6
The following is a PBE calculation of Ti3As2POs3 after structural relaxation, from Materials Project.

Cell: 2.9767 7.1394 7.1394 Å, 120.37 90.00 90.00°
With the nearest neighbours (Å) after each atom.
Sites, in units of the cell vectors:
Ti 0.0000 0.0000 0.0000  1 P 2.63, 4 As 2.70, 6 Os 2.83-2.86
Ti 0.0000 0.2578 0.6291  1 P 2.65, 4 As 2.69-2.70, 6 Os 2.81-2.86
Ti 0.0000 0.6291 0.2578  1 P 2.65, 4 As 2.69-2.70, 6 Os 2.81-2.86
As 0.5000 0.2957 0.9629  3 Os 2.56-2.57, 6 Ti 2.69-2.70
As 0.5000 0.9629 0.2957  3 Os 2.56-2.57, 6 Ti 2.69-2.70
P 0.0000 0.6301 0.6301  6 Os 2.52-2.53, 3 Ti 2.63-2.65
Os 0.5000 0.3438 0.3438  2 P 2.52, 2 As 2.56
Os 0.5000 0.6283 0.9149  2 P 2.53, 2 As 2.56-2.57, 4 Ti 2.81-2.83
Os 0.5000 0.9149 0.6283  2 P 2.53, 2 As 2.56-2.57, 4 Ti 2.81-2.83

final energy	-8.4502	eV per atom
magnetization	0.00	μB/cell
SG	Amm2
formation energy	-439	meV per atom